## K3Ti8O17 (r²SCAN)

Data for a relaxed structure of K3Ti8O17.

Results
DFT formation energy = -3.152 eV/atom
raw total energy = -11.12 eV per atom

Cell: 15.6873 3.8061 12.0928 Å, 90.00 95.25 90.00°
Space group Cm (No. 8)
Symmetry-distinct sites (fractional):
K 0.0000 0.0000 0.0000
K 0.0483 0.0000 0.2971
K 0.1148 0.0000 0.6582
Ti 0.1690 0.5000 0.9053
Ti 0.2093 0.5000 0.1586
Ti 0.2539 0.5000 0.4132
Ti 0.3007 0.5000 0.6660
Ti 0.3153 0.0000 0.0049
Ti 0.3587 0.0000 0.2584
Ti 0.4063 0.0000 0.5102
Ti 0.4471 0.0000 0.7638
O 0.0576 0.5000 0.8351
O 0.1184 0.5000 0.0617
O 0.1648 0.5000 0.2986
O 0.1952 0.0000 0.9241
O 0.2078 0.5000 0.5438
O 0.2298 0.5000 0.7711
O 0.2426 0.0000 0.1603
O 0.2836 0.0000 0.4019
O 0.2866 0.5000 0.0227
O 0.3291 0.0000 0.6484
O 0.3313 0.5000 0.2687
O 0.3719 0.5000 0.5100
O 0.3855 0.0000 0.8996
O 0.4084 0.0000 0.1291
O 0.4204 0.5000 0.7482
O 0.4501 0.0000 0.3705
O 0.4951 0.0000 0.6108

## Na3Ni2P2C2O14 (r²SCAN)

Data for a relaxed structure of Na3Ni2P2C2O14.

Results
DFT formation energy = -1.792 eV/atom
raw total energy = -8.58 eV per atom

Cell: 8.0051 8.0519 8.8784 Å, 90.75 91.42 103.02°
Space group P1 (No. 1)
Symmetry-distinct sites (fractional):
Na 0.0000 0.0000 0.0000
Na 0.0006 0.4962 0.5191
Na 0.4660 0.0223 0.5124
Na 0.4858 0.5429 0.0106
Na 0.7622 0.2440 0.0049
Na 0.7700 0.7486 0.5113
Ni 0.3609 0.1093 0.1080
Ni 0.4006 0.6408 0.4078
Ni 0.8658 0.6033 0.0997
Ni 0.9019 0.1425 0.4193
P 0.1119 0.8491 0.3314
P 0.1461 0.3820 0.1931
P 0.6137 0.3652 0.3276
P 0.6488 0.9031 0.1847
C 0.3708 0.5993 0.6652
C 0.3955 0.1504 0.8497
C 0.8565 0.1094 0.6779
C 0.9024 0.6375 0.8411
O 0.0018 0.7273 0.9453
O 0.0095 0.4305 0.0919
O 0.0408 0.9634 0.4376
O 0.0809 0.3124 0.3437
O 0.1866 0.9322 0.1872
O 0.2007 0.2462 0.0913
O 0.2476 0.7878 0.4310
O 0.2805 0.5045 0.5565
O 0.2807 0.0307 0.9109
O 0.3025 0.5340 0.2238
O 0.3514 0.5759 0.7995
O 0.4234 0.1700 0.7160
O 0.4612 0.2103 0.2951
O 0.4833 0.2488 0.9596
O 0.4831 0.7233 0.6034
O 0.5206 0.9706 0.0838
O 0.5641 0.5074 0.4237
O 0.5704 0.8285 0.3320
O 0.6796 0.4348 0.1756
O 0.7096 0.7744 0.0853
O 0.7486 0.3132 0.4282
O 0.7571 0.0196 0.5716
O 0.7802 0.5253 0.9043
O 0.8034 0.0531 0.2263
O 0.8373 0.0888 0.8147
O 0.9176 0.6545 0.7036
O 0.9655 0.6916 0.2894
O 0.9784 0.2208 0.6172

## Nb3As (r²SCAN)

Data for a relaxed structure of Nb3As.

Results
DFT formation energy = -0.491 eV/atom
raw total energy = -22.72 eV per atom

Cell: 10.3465 10.3465 5.2469 Å, 90.00 90.00 90.00°
Space group P4_2/n (No. 86, origin choice 2)
Symmetry-distinct sites (fractional):
Nb 0.0363 0.9437 0.2396
Nb 0.1012 0.2618 0.0194
Nb 0.1558 0.8346 0.7265
As 0.0434 0.2717 0.5210

## ThRh2 (r²SCAN)

Data for a relaxed structure of ThRh2.

Results
DFT formation energy = -0.840 eV/atom
raw total energy = -41.42 eV per atom

Cell: 4.7158 4.7158 5.9192 Å, 90.00 90.00 120.00°
Space group P6_3/mmc (No. 194)
Symmetry-distinct sites (fractional):
Th 0.3333 0.6667 0.2500
Rh 0.0000 0.0000 0.0000
Rh 0.3333 0.6667 0.7500